Below is Te2MoW2Se2S2 after structural relaxation, with properties calculated at the PBE level.

* energy relative to the elements: -607 meV per atom
* SG: P3m1
* total magnetization: 0.000 μB per atom
* MP2020-corrected energy: -7.0860 eV per atom
* crystal system: trigonal
* raw total energy: -6.974 eV per atom

Unit cell a=3.346 b=3.346 c=31.004 alpha=90.00 beta=90.00 gamma=120.00
Fractional positions:
Te (0.000, 0.000, 0.000)
Te (0.000, 0.000, 0.122)
Mo (0.667, 0.333, 0.061)
W (0.000, 0.000, 0.293)
W (0.667, 0.333, 0.524)
Se (0.667, 0.333, 0.239)
Se (0.667, 0.333, 0.346)
S (0.000, 0.000, 0.475)
S (0.000, 0.000, 0.573)